[1]
A plane-wave DFT calculation with r2SCAN was carried out for an optimized crystal structure of PrIn.

Summary:
* ΔH_f (0 K): -0.62 eV/atom

a = 3.8987 Å, b = 3.8987 Å, c = 3.8987 Å
α = 90.00°, β = 90.00°, γ = 90.00°
Last column: nearest neighbours and their distance in Å.
Fractional positions:
Pr1 0.0000 0.0000 0.0000  8 In 3.38
In1 0.5000 0.5000 0.5000  8 Pr 3.38

[2]
A plane-wave DFT calculation with r2SCAN was carried out for an optimized crystal structure of PrIn3.

Summary:
* ΔH_f (0 K): -0.58 eV/atom

a = 4.7216 Å, b = 4.7216 Å, c = 4.7216 Å
α = 90.00°, β = 90.00°, γ = 90.00°
Last column: nearest neighbours and their distance in Å.
Fractional positions:
Pr1 0.0000 0.0000 0.0000  12 In 3.34
In1 0.0000 0.5000 0.5000  8 In 3.34, 4 Pr 3.34
In2 0.5000 0.0000 0.5000  8 In 3.34, 4 Pr 3.34
In3 0.5000 0.5000 0.0000  8 In 3.34, 4 Pr 3.34

[3]
A plane-wave DFT calculation with r2SCAN was carried out for an optimized crystal structure of PrIn2Pt2.

Summary:
* ΔH_f (0 K): -0.91 eV/atom

a = 10.2900 Å, b = 4.5106 Å, c = 10.3027 Å
α = 90.00°, β = 117.18°, γ = 90.00°
Last column: nearest neighbours and their distance in Å.
Fractional positions:
Pr1 0.2096 0.2500 0.4523  7 Pt 3.02-3.23, 1 In 3.36
Pr2 0.2891 0.2500 0.0965  3 Pt 2.91-3.24
Pr3 0.7109 0.7500 0.9035  3 Pt 2.91-3.24
Pr4 0.7904 0.7500 0.5477  7 Pt 3.02-3.23, 1 In 3.36
In1 0.0401 0.7500 0.9052  4 Pt 2.75-2.81
In2 0.1021 0.2500 0.7261  6 Pt 2.75-2.94
In3 0.4233 0.7500 0.3806  4 Pt 2.73-2.89
In4 0.4462 0.2500 0.8535  5 Pt 2.79-2.96
In5 0.5538 0.7500 0.1465  5 Pt 2.79-2.96
In6 0.5767 0.2500 0.6194  4 Pt 2.73-2.89
In7 0.8979 0.7500 0.2739  6 Pt 2.75-2.94
In8 0.9599 0.2500 0.0948  4 Pt 2.75-2.81
Pt1 0.1007 0.7500 0.5722  3 In 2.75-2.82, 4 Pt 2.83-2.99, 2 Pr 3.02
Pt2 0.1291 0.7500 0.2033  5 In 2.73-2.79
Pt3 0.2974 0.7500 0.8744  6 In 2.79-2.94, 2 Pt 2.83-3.04
Pt4 0.4204 0.7500 0.6564  5 In 2.85-2.96, 3 Pr 2.91-3.17, 2 Pt 2.99-3.04
Pt5 0.5796 0.2500 0.3436  5 In 2.85-2.96, 3 Pr 2.91-3.17, 2 Pt 2.99-3.04
Pt6 0.7026 0.2500 0.1256  6 In 2.79-2.94, 2 Pt 2.83-3.04
Pt7 0.8709 0.2500 0.7967  5 In 2.73-2.79
Pt8 0.8993 0.2500 0.4278  3 In 2.75-2.82, 4 Pt 2.83-2.99, 2 Pr 3.02

[4]
A plane-wave DFT calculation with r2SCAN was carried out for an optimized crystal structure of PrInPt4.

Summary:
* ΔH_f (0 K): -0.88 eV/atom

a = 5.4296 Å, b = 5.4296 Å, c = 5.4296 Å
α = 60.00°, β = 60.00°, γ = 60.00°
Last column: nearest neighbours and their distance in Å.
Fractional positions:
Pr1 0.0000 0.0000 0.0000  12 Pt 3.19, 4 In 3.32
In1 0.7500 0.7500 0.7500  12 Pt 3.18, 4 Pr 3.32
Pt1 0.3757 0.3757 0.3757  6 Pt 2.70-2.73
Pt2 0.3757 0.3757 0.8729  6 Pt 2.70-2.73
Pt3 0.3757 0.8729 0.3757  6 Pt 2.70-2.73
Pt4 0.8729 0.3757 0.3757  6 Pt 2.70-2.73

[5]
A plane-wave DFT calculation with r2SCAN was carried out for an optimized crystal structure of Pr5In4Pt2.

Summary:
* ΔH_f (0 K): -0.88 eV/atom

a = 8.3177 Å, b = 18.7298 Å, c = 3.8217 Å
α = 90.00°, β = 90.00°, γ = 90.00°
Last column: nearest neighbours and their distance in Å.
Fractional positions:
Pr1 0.0000 0.0000 0.0000  8 In 3.35-3.44, 2 Pr 3.55
Pr2 0.1176 0.4157 0.0000  2 Pt 2.96
Pr3 0.2412 0.2223 0.0000  4 Pt 3.03-3.07
Pr4 0.2588 0.7223 0.0000  4 Pt 3.03-3.07
Pr5 0.3824 0.9157 0.0000  2 Pt 2.96
Pr6 0.5000 0.5000 0.0000  8 In 3.35-3.44, 2 Pr 3.55
Pr7 0.6176 0.0843 0.0000  2 Pt 2.96
Pr8 0.7412 0.2777 0.0000  4 Pt 3.03-3.07
Pr9 0.7588 0.7777 0.0000  4 Pt 3.03-3.07
Pr10 0.8824 0.5843 0.0000  2 Pt 2.96
In1 0.0679 0.8504 0.5000  1 Pt 2.97, 1 In 3.31
In2 0.2109 0.5711 0.5000  1 Pt 3.02, 1 In 3.31, 4 Pr 3.34-3.35
In3 0.2891 0.0711 0.5000  1 Pt 3.02, 1 In 3.31, 4 Pr 3.34-3.35
In4 0.4321 0.3504 0.5000  1 Pt 2.97, 1 In 3.31
In5 0.5679 0.6496 0.5000  1 Pt 2.97, 1 In 3.31
In6 0.7109 0.9289 0.5000  1 Pt 3.02, 1 In 3.31, 4 Pr 3.34-3.35
In7 0.7891 0.4289 0.5000  1 Pt 3.02, 1 In 3.31, 4 Pr 3.34-3.35
In8 0.9321 0.1496 0.5000  1 Pt 2.97, 1 In 3.31
Pt1 0.0177 0.3038 0.5000  6 Pr 2.96-3.07, 2 In 2.97-3.02
Pt2 0.4823 0.8038 0.5000  6 Pr 2.96-3.07, 2 In 2.97-3.02
Pt3 0.5177 0.1962 0.5000  6 Pr 2.96-3.07, 2 In 2.97-3.02
Pt4 0.9823 0.6962 0.5000  6 Pr 2.96-3.07, 2 In 2.97-3.02

[6]
A plane-wave DFT calculation with r2SCAN was carried out for an optimized crystal structure of PrIn2Rh.

Summary:
* ΔH_f (0 K): -0.71 eV/atom

a = 5.6199 Å, b = 5.6199 Å, c = 7.9664 Å
α = 90.00°, β = 90.00°, γ = 133.31°
Last column: nearest neighbours and their distance in Å.
Fractional positions:
Pr1 0.0660 0.9340 0.7500  3 Rh 2.89-3.18
Pr2 0.9340 0.0660 0.2500  3 Rh 2.89-3.18
In1 0.3524 0.6476 0.5510  3 Rh 2.79-2.82
In2 0.3524 0.6476 0.9490  3 Rh 2.79-2.82
In3 0.6476 0.3524 0.0510  3 Rh 2.79-2.82
In4 0.6476 0.3524 0.4490  3 Rh 2.79-2.82
Rh1 0.2141 0.7859 0.2500  6 In 2.79-2.82, 1 Pr 2.89
Rh2 0.7859 0.2141 0.7500  6 In 2.79-2.82, 1 Pr 2.89

[7]
A plane-wave DFT calculation with r2SCAN was carried out for an optimized crystal structure of PrInRh.

Summary:
* ΔH_f (0 K): -0.78 eV/atom

a = 7.6130 Å, b = 7.6130 Å, c = 4.0805 Å
α = 90.00°, β = 90.00°, γ = 120.00°
Last column: nearest neighbours and their distance in Å.
Fractional positions:
Pr1 0.0000 0.5890 0.0000  5 Rh 3.07-3.13, 6 In 3.30-3.41
Pr2 0.4110 0.4110 0.0000  5 Rh 3.07-3.13, 6 In 3.30-3.41
Pr3 0.5890 0.0000 0.0000  5 Rh 3.07-3.13, 6 In 3.30-3.41
In1 0.0000 0.2486 0.5000  4 Rh 2.78-2.91
In2 0.2486 0.0000 0.5000  4 Rh 2.78-2.91
In3 0.7514 0.7514 0.5000  4 Rh 2.78-2.91
Rh1 0.0000 0.0000 0.0000  6 In 2.78
Rh2 0.3333 0.6667 0.5000  3 In 2.91, 6 Pr 3.07
Rh3 0.6667 0.3333 0.5000  3 In 2.91, 6 Pr 3.07

[8]
A plane-wave DFT calculation with r2SCAN was carried out for an optimized crystal structure of Pr2Tl3In3.

Summary:
* ΔH_f (0 K): -0.48 eV/atom

a = 4.7651 Å, b = 4.8209 Å, c = 9.4606 Å
α = 90.00°, β = 90.00°, γ = 90.00°
Last column: nearest neighbours and their distance in Å.
Fractional positions:
Pr1 0.0000 0.0000 0.2488  6 Tl 3.35-3.39, 6 In 3.37-3.39
Pr2 0.0000 0.0000 0.7512  6 Tl 3.35-3.39, 6 In 3.37-3.39
Tl1 0.0000 0.5000 0.5000  4 In 3.38, 4 Pr 3.39, 4 Tl 3.39
Tl2 0.5000 0.0000 0.0000  4 Pr 3.35, 8 In 3.35-3.39
Tl3 0.5000 0.0000 0.5000  4 Pr 3.37, 4 Tl 3.39, 4 In 3.40
In1 0.0000 0.5000 0.0000  4 In 3.33, 4 Pr 3.37, 4 Tl 3.39
In2 0.5000 0.5000 0.2458  2 In 3.33, 6 Tl 3.35-3.40, 4 Pr 3.39
In3 0.5000 0.5000 0.7542  2 In 3.33, 6 Tl 3.35-3.40, 4 Pr 3.39

[9]
A plane-wave DFT calculation with r2SCAN was carried out for an optimized crystal structure of Pr2TlIn.

Summary:
* ΔH_f (0 K): -0.55 eV/atom

a = 5.5290 Å, b = 5.5290 Å, c = 5.5290 Å
α = 60.00°, β = 60.00°, γ = 60.00°
Last column: nearest neighbours and their distance in Å.
Fractional positions:
Pr1 0.2500 0.2500 0.2500  4 In 3.39, 4 Tl 3.39
Pr2 0.7500 0.7500 0.7500  4 In 3.39, 4 Tl 3.39
Tl1 0.0000 0.0000 0.0000  8 Pr 3.39
In1 0.5000 0.5000 0.5000  8 Pr 3.39

[10]
A plane-wave DFT calculation with r2SCAN was carried out for an optimized crystal structure of In3Pt2.

Summary:
* ΔH_f (0 K): -0.60 eV/atom

a = 4.5723 Å, b = 4.5723 Å, c = 5.5764 Å
α = 90.00°, β = 90.00°, γ = 120.00°
Last column: nearest neighbours and their distance in Å.
Fractional positions:
In1 0.0000 0.0000 0.0000  6 Pt 2.79
In2 0.3333 0.6667 0.6503  5 Pt 2.72-2.86
In3 0.6667 0.3333 0.3497  5 Pt 2.72-2.86
Pt1 0.3333 0.6667 0.1628  8 In 2.72-2.86
Pt2 0.6667 0.3333 0.8372  8 In 2.72-2.86